No. 1
Here is a relaxed structure of NaMg6Al3Si6B3O30 from Materials Project. Energies are from PBE-GGA.

**Space-group type**: R3
**Magnetization**: 5.00 μB/f.u.
**E (MP2020)**: -7.403 eV/atom

extended XYZ file:
```
49
Lattice="-0.637 2.353 -7.621 1.877 8.666 5.318 7.882 -6.691 0.076" Properties=species:S:1:pos:R:3 pbc="T T T"
Na -0.024 0.090 -0.292
Mg 5.469 -1.700 0.898
Mg 5.428 -0.062 -1.393
Mg 5.898 0.172 -4.160
Mg 3.154 3.940 2.846
Mg 3.853 5.848 -2.224
Mg 3.786 3.968 0.002
Al 6.337 -2.307 -5.324
Al 2.231 1.602 -6.575
Al 7.508 1.772 -1.363
Si 2.656 6.846 1.042
Si 6.365 3.481 2.494
Si 1.786 3.380 -2.755
Si 6.557 -2.865 -2.190
Si 2.837 0.519 -3.635
Si 7.439 0.620 1.612
B 2.382 7.993 -1.799
B 6.358 4.289 -0.475
B 1.334 4.129 -5.705
O 6.862 0.744 -2.599
O 5.386 -0.937 -5.795
O 4.243 -0.276 0.106
O 5.254 5.091 -1.010
O 2.949 2.617 1.219
O 2.309 7.085 -2.949
O 3.678 7.913 1.757
O 6.969 1.955 2.443
O 0.266 3.443 -2.138
O 2.689 7.025 -0.614
O 5.880 3.967 0.975
O 1.848 4.150 -4.231
O 6.302 -2.035 -3.579
O 3.105 0.918 -5.201
O 7.046 0.791 0.031
O 1.288 8.895 -1.621
O 7.673 4.833 -0.608
O 1.070 2.844 -6.270
O 3.653 8.690 -1.983
O 6.217 3.002 -1.152
O 0.137 4.964 -5.639
O 9.073 0.524 1.759
O 5.734 -4.287 -2.247
O 2.097 1.773 -2.873
O 3.085 5.316 1.369
O 5.066 3.564 3.462
O 2.845 4.126 -1.779
O 6.075 -1.931 -0.975
O 4.259 0.161 -2.978
O 6.700 -0.701 2.152
```

No. 2
Here is a relaxed structure of Sc2P3O12 from Materials Project. Energies are from PBE-GGA.

**Space-group type**: P2_1/c
**Magnetization**: 3.00 μB/f.u.
**E (MP2020)**: -8.023 eV/atom

extended XYZ file:
```
68
Lattice="9.123 0.000 0.000 0.000 9.081 0.000 0.000 9.023 12.590" Properties=species:S:1:pos:R:3 pbc="T T T"
Sc 4.904 2.281 1.507
Sc 8.791 11.306 11.067
Sc 4.229 11.309 7.818
Sc 0.343 11.311 4.788
Sc 8.781 6.793 7.803
Sc 4.894 6.795 4.772
Sc 0.332 6.797 1.523
Sc 4.219 15.822 11.083
P 6.840 9.356 6.272
P 5.555 9.977 10.783
P 8.157 10.036 1.791
P 3.595 3.557 4.504
P 0.993 12.638 8.102
P 2.278 4.236 0.023
P 6.845 13.868 12.567
P 8.130 5.466 4.488
P 5.528 14.547 8.086
P 0.967 8.068 10.799
P 3.569 8.127 1.807
P 2.283 8.747 6.318
O 1.460 9.632 5.363
O 3.054 9.635 7.317
O 0.831 9.603 10.800
O 3.797 9.647 1.869
O 5.839 10.194 7.082
O 7.040 10.295 10.528
O 7.785 10.304 5.519
O 5.201 10.487 12.193
O 8.550 1.502 0.405
O 6.693 10.431 2.054
O 9.070 10.635 2.868
O 4.668 10.679 9.743
O 0.107 11.936 9.142
O 4.508 2.957 3.427
O 2.131 3.161 4.241
O 3.988 12.090 5.890
O 0.640 12.129 6.692
O 3.223 3.288 0.776
O 2.478 12.321 8.357
O 1.277 12.421 11.804
O 8.359 3.945 4.426
O 5.393 13.013 8.085
O 7.616 12.980 11.568
O 6.022 3.960 0.932
O 3.102 14.144 11.658
O 1.508 5.124 1.022
O 3.731 5.091 4.505
O 0.764 14.159 8.165
O 7.846 5.683 0.786
O 6.645 5.783 4.233
O 5.900 14.816 11.814
O 8.484 5.975 5.898
O 5.135 6.014 6.700
O 6.992 14.943 8.349
O 4.615 15.147 9.163
O 9.016 6.168 3.448
O 4.455 7.425 2.847
O 0.053 7.469 9.722
O 2.430 7.673 10.537
O 0.574 16.602 12.185
O 3.922 7.617 0.397
O 1.338 7.800 7.071
O 2.084 7.809 2.062
O 3.284 7.910 5.509
O 5.326 8.457 10.721
O 8.292 8.501 1.790
O 6.069 8.469 5.273
O 7.663 8.472 7.228
```

No. 3
Here is a relaxed structure of NaSn2As2 from Materials Project. Energies are from PBE-GGA.

**Calculated total energy**: -3.9832 eV per atom
**Space-group type**: R-3m

extended XYZ file:
```
5
Lattice="-1.828 2.475 -2.669 2.194 2.729 -2.080 1.517 -4.566 -8.380" Properties=species:S:1:pos:R:3 pbc="T T T"
Na 0.000 0.000 0.000
Sn 0.635 -0.579 -4.079
Sn 1.250 1.217 -9.050
As 1.331 -1.437 -8.459
As 0.553 2.076 -4.670
```

No. 4
Here is a relaxed structure of MgTe4Mo2W2S4 from Materials Project. Energies are from PBE-GGA.

**Space-group type**: P3m1
**Magnetization**: 0.01 μB/f.u.
**E (MP2020)**: -6.512 eV/atom
**Energy above the lowest structure with this stoichiometry**: 0.043 eV per atom

extended XYZ file:
```
13
Lattice="-2.488 -2.311 -0.106 2.783 -0.584 1.859 -16.712 16.608 30.232" Properties=species:S:1:pos:R:3 pbc="T T T"
Mg -6.269 6.230 11.341
Te -10.785 10.578 22.570
Te -1.479 -0.992 1.902
Te -3.122 0.640 4.874
Te -9.141 8.944 19.597
Mo -6.839 6.656 15.432
Mo -5.422 2.926 9.035
W -0.543 0.400 4.043
W -11.720 9.185 20.429
S -4.359 4.192 10.947
S -7.906 5.395 13.528
S -9.239 6.720 15.940
S -3.023 2.864 8.529
```

No. 5
Here is a relaxed structure of HoMnNi2 from Materials Project. Energies are from PBE-GGA.

**Calculated total energy**: -6.6102 eV per atom
**Space-group type**: R3m
**Magnetization**: 3.90 μB/f.u.

extended XYZ file:
```
12
Lattice="-3.607 -3.607 0.000 0.000 3.607 -3.607 3.458 -3.458 -7.064" Properties=species:S:1:pos:R:3 pbc="T T T"
Ho -1.007 -0.797 -0.797
Ho -0.855 -4.555 -4.555
Ho 0.798 1.006 -6.207
Mn 0.879 -2.682 -9.895
Mn 3.445 -1.642 -8.855
Mn -0.090 -1.713 -5.320
Ni -1.862 -3.548 -1.735
Ni 1.693 0.110 -8.891
Ni -1.862 -1.735 -3.548
Ni 1.693 -1.678 -7.103
Ni -0.068 0.058 -3.548
Ni -0.126 -3.496 -7.103
```

No. 6
Here is a relaxed structure of MnGa from Materials Project. Energies are from PBE-GGA.

**Calculated total energy**: -6.2353 eV per atom
**Space-group type**: P4/mmm

extended XYZ file:
```
2
Lattice="2.715 0.000 0.000 0.000 2.715 0.000 0.000 0.000 3.639" Properties=species:S:1:pos:R:3 pbc="T T T"
Mn 1.358 1.358 1.819
Ga 0.000 0.000 0.000
```

No. 7
Here is a relaxed structure of TbNi4P2 from Materials Project. Energies are from PBE-GGA.

**Calculated total energy**: -6.3381 eV per atom
**Space-group type**: P4_2/mnm

extended XYZ file:
```
14
Lattice="7.104 0.000 0.000 0.000 7.104 0.000 0.000 0.000 3.602" Properties=species:S:1:pos:R:3 pbc="T T T"
Tb 0.000 0.000 1.801
Tb 3.552 3.552 0.000
Ni 0.603 2.396 0.000
Ni 5.948 2.949 1.801
Ni 1.156 4.155 1.801
Ni 6.501 4.708 0.000
Ni 2.949 5.948 1.801
Ni 4.155 1.156 1.801
Ni 2.396 0.603 0.000
Ni 4.708 6.501 0.000
P 5.537 1.567 0.000
P 5.119 5.119 1.801
P 1.985 1.985 1.801
P 1.567 5.537 0.000
```

No. 8
Here is a relaxed structure of Ba2UCrTe7 from Materials Project. Energies are from PBE-GGA.

**Space-group type**: Pnma
**Magnetization**: 0.11 μB/f.u.
**E (MP2020)**: -5.315 eV/atom

extended XYZ file:
```
44
Lattice="6.206 0.000 0.000 0.000 12.667 0.000 0.000 0.000 18.884" Properties=species:S:1:pos:R:3 pbc="T T T"
Ba 1.551 4.092 17.787
Ba 1.551 10.426 10.539
Ba 4.654 8.574 1.097
Ba 4.654 2.241 8.345
Ba 1.551 5.646 5.232
Ba 1.551 11.979 4.210
Ba 4.654 7.021 13.652
Ba 4.654 0.688 14.674
U 1.551 3.735 11.753
U 1.551 10.068 16.573
U 4.654 8.932 7.131
U 4.654 2.599 2.311
Cr 0.000 0.000 0.000
Cr 3.103 6.333 9.442
Cr 3.103 0.000 0.000
Cr 0.000 6.333 9.442
Te 0.015 1.016 11.367
Te 3.088 7.349 16.959
Te 3.118 11.650 7.517
Te 6.191 5.317 1.925
Te 6.191 11.650 7.517
Te 3.118 5.317 1.925
Te 3.088 1.016 11.367
Te 0.015 7.349 16.959
Te 0.018 3.902 14.493
Te 3.085 10.235 13.834
Te 3.121 8.765 4.392
Te 6.188 2.431 5.051
Te 6.188 8.765 4.392
Te 3.121 2.431 5.051
Te 3.085 3.902 14.493
Te 0.018 10.235 13.834
Te 1.551 0.518 16.626
Te 1.551 6.852 11.701
Te 4.654 12.148 2.258
Te 4.654 5.815 7.184
Te 1.551 4.137 8.670
Te 1.551 10.471 0.772
Te 4.654 8.529 10.215
Te 4.654 2.196 18.112
Te 1.551 8.101 7.850
Te 1.551 1.767 1.592
Te 4.654 4.566 11.034
Te 4.654 10.899 17.292
```

No. 9
Here is a relaxed structure of Mg2TiMn3S8 from Materials Project. Energies are from PBE-GGA.

**Space-group type**: R-3m
**Magnetization**: 13.00 μB/f.u.
**E (MP2020)**: -6.312 eV/atom

extended XYZ file:
```
14
Lattice="-3.824 5.894 -2.010 -7.304 -0.161 0.208 -3.580 3.903 5.033" Properties=species:S:1:pos:R:3 pbc="T T T"
Mg -12.841 8.414 2.821
Mg -1.867 1.222 0.410
Ti -7.354 4.818 1.615
Mn -5.564 2.866 -0.901
Mn -9.265 7.764 0.610
Mn -3.702 4.898 1.511
S -10.841 7.103 2.381
S -5.492 4.307 3.137
S -7.184 2.460 0.944
S -5.604 5.211 -0.064
S -7.523 7.176 2.287
S -9.104 4.425 3.294
S -3.867 2.534 0.851
S -9.215 5.329 0.094
```

No. 10
Here is a relaxed structure of Sr2RuN3 from Materials Project. Energies are from PBE-GGA.

**Space-group type**: C2/c
**Magnetization**: 0.00 μB/f.u.
**E (MP2020)**: -6.851 eV/atom

extended XYZ file:
```
24
Lattice="6.279 -0.123 -0.022 -10.000 5.181 0.000 -0.383 -0.739 12.519" Properties=species:S:1:pos:R:3 pbc="T T T"
Sr 2.257 -0.588 10.716
Sr -2.514 2.445 8.040
Sr -6.362 4.908 1.780
Sr -1.591 1.874 4.457
Sr -5.619 4.019 7.177
Sr -0.820 1.041 11.579
Sr 1.515 0.300 5.320
Sr -3.285 3.278 0.918
Ru 0.477 0.836 8.359
Ru -4.704 3.078 10.397
Ru -4.582 3.483 4.138
Ru 0.599 1.242 2.099
N -6.361 2.593 9.389
N -4.023 1.850 3.130
N 2.170 0.174 7.893
N -3.186 2.076 10.864
N -6.275 4.145 4.604
N -0.918 2.243 1.633
N 1.565 0.709 0.543
N -3.590 3.001 5.695
N -5.670 3.610 11.954
N -0.515 1.318 6.802
N -10.274 4.620 9.389
N -0.109 -0.178 3.130
```

No. 11
Here is a relaxed structure of Sr2YCu2BiPbO8 from Materials Project. Energies are from PBE-GGA.

**Space-group type**: I4mm
**Magnetization**: 0.00 μB/f.u.
**E (MP2020)**: -6.512 eV/atom
**Energy above the lowest structure with this stoichiometry**: 0.088 eV per atom

extended XYZ file:
```
15
Lattice="1.352 -15.528 2.585 -3.871 -14.911 3.509 0.748 14.746 -5.624" Properties=species:S:1:pos:R:3 pbc="T T T"
Sr -1.553 -18.767 3.757
Sr -0.979 -11.832 2.368
Y -1.263 -15.258 3.054
Cu -0.138 -1.668 0.334
Cu -2.391 -28.883 5.782
Bi -2.012 -24.313 4.867
Pb -0.503 -6.081 1.217
O -0.322 -3.891 0.779
O -2.183 -26.377 5.280
O -1.678 -1.488 -0.776
O -2.698 -13.818 1.692
O -0.087 -14.126 1.230
O 0.933 -1.797 -1.238
O -1.757 -21.233 4.250
O -0.767 -9.271 1.856
```

No. 12
Here is a relaxed structure of CsPd2F5 from Materials Project. Energies are from PBE-GGA.

**Space-group type**: Imma
**E (MP2020)**: -4.499 eV/atom

extended XYZ file:
```
16
Lattice="-3.349 3.971 5.500 3.349 -3.971 5.500 3.349 3.971 -5.500" Properties=species:S:1:pos:R:3 pbc="T T T"
Cs 3.349 1.986 1.228
Cs 0.000 1.986 4.272
Pd 1.674 1.986 -2.750
Pd 1.674 -1.986 2.750
Pd 0.000 0.000 0.000
Pd 0.000 3.971 0.000
F 1.684 4.542 4.172
F 5.033 -0.570 1.328
F 1.665 4.542 1.328
F 1.665 3.401 -1.328
F 1.665 -0.570 1.328
F -1.684 4.542 4.172
F 0.000 1.986 0.959
F 3.349 1.986 4.541
F 1.684 0.570 6.828
F 1.684 -0.570 4.172
```

no.,volume (Å³/f.u.)
1,691.5
2,260.8
3,134.7
4,383.2
5,60.6
6,26.8
7,90.9
8,371.1
9,277.0
10,97.9
11,222.0
12,146.3